# 1
# Li3V4CuO12, optimized geometry, DFT PBE+U
data_Li3V4CuO12
_cell_length_a 10.2611
_cell_length_b 9.1231
_cell_length_c 5.8664
_cell_angle_alpha 90.00
_cell_angle_beta 111.52
_cell_angle_gamma 90.00
_space_group_name_H-M_alt 'C 1 2 1'
_space_group_IT_number 5
_space_group_name_Hall 'C 2y'
loop_
_atom_site_label
_atom_site_type_symbol
_atom_site_fract_x
_atom_site_fract_y
_atom_site_fract_z
Li1 Li 0.0000 0.0000 0.0000
Li2 Li 0.0000 0.1482 0.5000
Li3 Li 0.0000 0.4867 0.5000
V1 V 0.2051 0.6491 0.9812
V2 V 0.2049 0.8379 0.4802
Cu1 Cu 0.0000 0.3356 0.0000
O1 O 0.1160 0.1458 0.9093
O2 O 0.1161 0.3436 0.4007
O3 O 0.1363 0.4784 0.9221
O4 O 0.1374 0.0072 0.4236
O5 O 0.1395 0.7436 0.1893
O6 O 0.1411 0.7423 0.6896
# Formation energy from the elements = -2.25 eV per atom
# VASP energy = -6.775 eV per atom
# Spin magnetization = 0.00 μB per formula unit

# 2
# Li2V3CuO8, optimized geometry, DFT PBE+U
data_Li2V3CuO8
_cell_length_a 5.8648
_cell_length_b 10.2097
_cell_length_c 9.8210
_cell_angle_alpha 90.00
_cell_angle_beta 92.30
_cell_angle_gamma 90.00
_space_group_name_H-M_alt 'C 1 c 1'
_space_group_IT_number 9
_space_group_name_Hall 'C -2yc'
loop_
_atom_site_label
_atom_site_type_symbol
_atom_site_fract_x
_atom_site_fract_y
_atom_site_fract_z
Li1 Li 0.0000 0.0059 0.0000
Li2 Li 0.0252 0.3295 0.9041
V1 V 0.2722 0.4076 0.2203
V2 V 0.2802 0.0665 0.7206
V3 V 0.4928 0.3248 0.7166
Cu1 Cu 0.0091 0.3272 0.5043
O1 O 0.0086 0.3392 0.1067
O2 O 0.0127 0.4907 0.3300
O3 O 0.0198 0.0066 0.3170
O4 O 0.0236 0.1510 0.6126
O5 O 0.2341 0.0926 0.1126
O6 O 0.2568 0.2692 0.3307
O7 O 0.2603 0.4184 0.6123
O8 O 0.3067 0.2409 0.8385
# Formation energy from the elements = -2.21 eV per atom
# VASP energy = -6.791 eV per atom
# Spin magnetization = 2.01 μB per formula unit

# 3
# Li4V3Cu3W2O16, optimized geometry, DFT PBE+U
data_Li4V3Cu3W2O16
_cell_length_a 5.9158
_cell_length_b 5.9627
_cell_length_c 9.9476
_cell_angle_alpha 87.74
_cell_angle_beta 89.95
_cell_angle_gamma 60.39
_space_group_name_H-M_alt 'P 1'
_space_group_IT_number 1
_space_group_name_Hall 'P 1'
loop_
_atom_site_label
_atom_site_type_symbol
_atom_site_fract_x
_atom_site_fract_y
_atom_site_fract_z
Li1 Li 0.0000 0.0000 0.0000
Li2 Li 0.0014 0.9948 0.5104
Li3 Li 0.3309 0.3388 0.4322
Li4 Li 0.6551 0.6927 0.9311
V1 V 0.1713 0.6564 0.7487
V2 V 0.3392 0.8265 0.2372
V3 V 0.8338 0.8210 0.2411
Cu1 Cu 0.1773 0.1685 0.7286
Cu2 Cu 0.6548 0.1676 0.7282
Cu3 Cu 0.8278 0.3437 0.2292
W1 W 0.3324 0.3357 0.0101
W2 W 0.6672 0.6614 0.5109
O1 O 0.0021 0.9953 0.8073
O2 O 0.0225 0.5276 0.8846
O3 O 0.1663 0.6541 0.1235
O4 O 0.1778 0.1607 0.1061
O5 O 0.3166 0.3682 0.6402
O6 O 0.3537 0.8056 0.6060
O7 O 0.4490 0.5294 0.8858
O8 O 0.4661 0.0668 0.8796
O9 O 0.4989 0.5417 0.3722
O10 O 0.5260 0.9644 0.3637
O11 O 0.6589 0.1637 0.1054
O12 O 0.6669 0.6909 0.1328
O13 O 0.8353 0.3318 0.5925
O14 O 0.8420 0.8026 0.6049
O15 O 0.9623 0.5385 0.3702
O16 O 0.9869 0.9993 0.3195
# Formation energy from the elements = -2.05 eV per atom
# VASP energy = -6.595 eV per atom
# Spin magnetization = 4.62 μB per formula unit

# 4
# Li2CuW2O8, optimized geometry, DFT PBE+U
data_Li2CuW2O8
_cell_length_a 5.1174
_cell_length_b 5.4754
_cell_length_c 5.9465
_cell_angle_alpha 73.43
_cell_angle_beta 85.36
_cell_angle_gamma 67.38
_space_group_name_H-M_alt 'P -1'
_space_group_IT_number 2
_space_group_name_Hall '-P 1'
loop_
_atom_site_label
_atom_site_type_symbol
_atom_site_fract_x
_atom_site_fract_y
_atom_site_fract_z
Li1 Li 0.0641 0.4140 0.2753
Cu1 Cu 0.5000 0.5000 0.5000
W1 W 0.2719 0.9747 0.8427
O1 O 0.1388 0.7799 0.1420
O2 O 0.2456 0.7464 0.6800
O3 O 0.2791 0.2705 0.5877
O4 O 0.3390 0.2017 0.0692
# Formation energy from the elements = -2.07 eV per atom
# VASP energy = -6.607 eV per atom
# Spin magnetization = 1.00 μB per formula unit

# 5
# LuMn4Cu3O12, optimized geometry, DFT PBE+U
data_LuMn4Cu3O12
_cell_length_a 7.3717
_cell_length_b 7.3717
_cell_length_c 7.3717
_cell_angle_alpha 90.00
_cell_angle_beta 90.00
_cell_angle_gamma 90.00
_space_group_name_H-M_alt 'I m -3'
_space_group_IT_number 204
_space_group_name_Hall '-I 2 2 3'
loop_
_atom_site_label
_atom_site_type_symbol
_atom_site_fract_x
_atom_site_fract_y
_atom_site_fract_z
Lu1 Lu 0.0000 0.0000 0.0000
Mn1 Mn 0.2500 0.2500 0.2500
Cu1 Cu 0.0000 0.0000 0.5000
O1 O 0.0000 0.1722 0.2967
# Formation energy from the elements = -1.83 eV per atom
# VASP energy = -6.731 eV per atom
# Spin magnetization = 10.23 μB per formula unit

# 6
# LuCuW2O8, optimized geometry, DFT PBE+U
data_LuCuW2O8
_cell_length_a 5.0813
_cell_length_b 5.9458
_cell_length_c 10.9304
_cell_angle_alpha 90.00
_cell_angle_beta 115.37
_cell_angle_gamma 90.00
_space_group_name_H-M_alt 'P 1 2/c 1'
_space_group_IT_number 13
_space_group_name_Hall '-P 2yc'
loop_
_atom_site_label
_atom_site_type_symbol
_atom_site_fract_x
_atom_site_fract_y
_atom_site_fract_z
Lu1 Lu 0.0000 0.1637 0.2500
Cu1 Cu 0.5000 0.2060 0.7500
W1 W 0.2387 0.3306 0.9906
O1 O 0.1645 0.4061 0.6105
O2 O 0.2185 0.1357 0.1166
O3 O 0.2672 0.1340 0.8655
O4 O 0.3349 0.3861 0.4006
# Formation energy from the elements = -2.39 eV per atom
# VASP energy = -7.374 eV per atom
# Spin magnetization = 0.00 μB per formula unit

# 7
# MgMn4Cu2O8, optimized geometry, DFT PBE+U
data_MgMn4Cu2O8
_cell_length_a 6.0674
_cell_length_b 6.5768
_cell_length_c 8.4791
_cell_angle_alpha 90.00
_cell_angle_beta 90.00
_cell_angle_gamma 90.00
_space_group_name_H-M_alt 'I m m 2'
_space_group_IT_number 44
_space_group_name_Hall 'I 2 -2'
loop_
_atom_site_label
_atom_site_type_symbol
_atom_site_fract_x
_atom_site_fract_y
_atom_site_fract_z
Mg1 Mg 0.0000 0.0000 0.0000
Mn1 Mn 0.0000 0.0000 0.6754
Mn2 Mn 0.0000 0.2617 0.4120
Mn3 Mn 0.0000 0.5000 0.1072
Cu1 Cu 0.2198 0.5000 0.7240
O1 O 0.0000 0.1989 0.1841
O2 O 0.0000 0.3007 0.6439
O3 O 0.2183 0.0000 0.4666
O4 O 0.2393 0.5000 0.3611
# Formation energy from the elements = -1.67 eV per atom
# VASP energy = -6.594 eV per atom
# Spin magnetization = 0.12 μB per formula unit

# 8
# MgMn4CuO8, optimized geometry, DFT PBE+U
data_MgMn4CuO8
_cell_length_a 5.9967
_cell_length_b 6.0791
_cell_length_c 6.1075
_cell_angle_alpha 89.25
_cell_angle_beta 60.68
_cell_angle_gamma 60.55
_space_group_name_H-M_alt 'P -1'
_space_group_IT_number 2
_space_group_name_Hall '-P 1'
loop_
_atom_site_label
_atom_site_type_symbol
_atom_site_fract_x
_atom_site_fract_y
_atom_site_fract_z
Mg1 Mg 0.0000 0.0000 0.0000
Mn1 Mn 0.0000 0.0000 0.5000
Mn2 Mn 0.5000 0.0000 0.0000
Mn3 Mn 0.5000 0.0000 0.5000
Mn4 Mn 0.5000 0.5000 0.5000
Cu1 Cu 0.0000 0.5000 0.5000
O1 O 0.0051 0.2105 0.2614
O2 O 0.0466 0.2132 0.6942
O3 O 0.4520 0.7949 0.3002
O4 O 0.4762 0.7901 0.7393
# Formation energy from the elements = -1.90 eV per atom
# VASP energy = -6.886 eV per atom
# Spin magnetization = 16.16 μB per formula unit

# 9
# MgMn4Cu2O8, optimized geometry, DFT PBE+U
data_MgMn4Cu2O8
_cell_length_a 6.1154
_cell_length_b 6.1188
_cell_length_c 6.2610
_cell_angle_alpha 115.25
_cell_angle_beta 92.06
_cell_angle_gamma 119.45
_space_group_name_H-M_alt 'P -1'
_space_group_IT_number 2
_space_group_name_Hall '-P 1'
loop_
_atom_site_label
_atom_site_type_symbol
_atom_site_fract_x
_atom_site_fract_y
_atom_site_fract_z
Mg1 Mg 0.0000 0.0000 0.0000
Mn1 Mn 0.0000 0.5000 0.0000
Mn2 Mn 0.5000 0.0000 0.0000
Mn3 Mn 0.5000 0.0000 0.5000
Mn4 Mn 0.5000 0.5000 0.0000
Cu1 Cu 0.1911 0.4533 0.4961
O1 O 0.2215 0.4688 0.2118
O2 O 0.2411 0.5016 0.8042
O3 O 0.2418 0.9322 0.1882
O4 O 0.3002 0.0681 0.8132
# Formation energy from the elements = -1.81 eV per atom
# VASP energy = -6.730 eV per atom
# Spin magnetization = 16.00 μB per formula unit

# 10
# MgMn4Cu2O8, optimized geometry, DFT PBE+U
data_MgMn4Cu2O8
_cell_length_a 5.7405
_cell_length_b 6.0069
_cell_length_c 10.9412
_cell_angle_alpha 90.00
_cell_angle_beta 90.00
_cell_angle_gamma 90.00
_space_group_name_H-M_alt 'I m m 2'
_space_group_IT_number 44
_space_group_name_Hall 'I 2 -2'
loop_
_atom_site_label
_atom_site_type_symbol
_atom_site_fract_x
_atom_site_fract_y
_atom_site_fract_z
Mg1 Mg 0.0000 0.0000 0.0000
Mn1 Mn 0.0000 0.0000 0.7586
Mn2 Mn 0.0000 0.5000 0.0302
Mn3 Mn 0.2472 0.5000 0.7063
Cu1 Cu 0.0000 0.2536 0.4085
O1 O 0.0000 0.2112 0.1427
O2 O 0.0000 0.2911 0.6771
O3 O 0.2281 0.0000 0.4035
O4 O 0.2335 0.5000 0.3922
# Formation energy from the elements = -1.67 eV per atom
# VASP energy = -6.590 eV per atom
# Spin magnetization = 16.05 μB per formula unit

# 11
# MgMn4CuO8, optimized geometry, DFT PBE+U
data_MgMn4CuO8
_cell_length_a 10.8555
_cell_length_b 5.8885
_cell_length_c 5.8825
_cell_angle_alpha 90.00
_cell_angle_beta 122.37
_cell_angle_gamma 90.00
_space_group_name_H-M_alt 'C 1 m 1'
_space_group_IT_number 8
_space_group_name_Hall 'C -2y'
loop_
_atom_site_label
_atom_site_type_symbol
_atom_site_fract_x
_atom_site_fract_y
_atom_site_fract_z
Mg1 Mg 0.0000 0.0000 0.0000
Mn1 Mn 0.1208 0.5000 0.8761
Mn2 Mn 0.2408 0.0000 0.7469
Mn3 Mn 0.3708 0.2516 0.3726
Cu1 Cu 0.1199 0.5000 0.3707
O1 O 0.1102 0.2753 0.6184
O2 O 0.1317 0.2712 0.1267
O3 O 0.3673 0.5000 0.5940
O4 O 0.3702 0.5000 0.1462
O5 O 0.3732 0.0000 0.5970
O6 O 0.3787 0.0000 0.1555
# Formation energy from the elements = -1.96 eV per atom
# VASP energy = -6.942 eV per atom
# Spin magnetization = 15.00 μB per formula unit

# 12
# MgMn4CuO8, optimized geometry, DFT PBE+U
data_MgMn4CuO8
_cell_length_a 5.9282
_cell_length_b 5.9839
_cell_length_c 6.0053
_cell_angle_alpha 116.98
_cell_angle_beta 117.17
_cell_angle_gamma 94.23
_space_group_name_H-M_alt 'P -1'
_space_group_IT_number 2
_space_group_name_Hall '-P 1'
loop_
_atom_site_label
_atom_site_type_symbol
_atom_site_fract_x
_atom_site_fract_y
_atom_site_fract_z
Mg1 Mg 0.0000 0.0000 0.0000
Mn1 Mn 0.0000 0.5000 0.0000
Mn2 Mn 0.0000 0.5000 0.5000
Mn3 Mn 0.5000 0.0000 0.5000
Mn4 Mn 0.5000 0.5000 0.0000
Cu1 Cu 0.5000 0.5000 0.5000
O1 O 0.2151 0.7028 0.4350
O2 O 0.2364 0.2935 0.0101
O3 O 0.2358 0.7549 0.0152
O4 O 0.2571 0.2817 0.5176
# Formation energy from the elements = -1.88 eV per atom
# VASP energy = -6.861 eV per atom
# Spin magnetization = 17.27 μB per formula unit

# 13
# MgMn4CuO8, optimized geometry, DFT PBE+U
data_MgMn4CuO8
_cell_length_a 10.5488
_cell_length_b 5.7687
_cell_length_c 7.3086
_cell_angle_alpha 90.00
_cell_angle_beta 131.42
_cell_angle_gamma 90.00
_space_group_name_H-M_alt 'C 1 m 1'
_space_group_IT_number 8
_space_group_name_Hall 'C -2y'
loop_
_atom_site_label
_atom_site_type_symbol
_atom_site_fract_x
_atom_site_fract_y
_atom_site_fract_z
Mg1 Mg 0.0000 0.0000 0.0000
Mn1 Mn 0.1896 0.2504 0.8153
Mn2 Mn 0.2173 0.5000 0.3395
Mn3 Mn 0.4350 0.0000 0.3127
Cu1 Cu 0.4767 0.5000 0.3448
O1 O 0.0045 0.2631 0.1878
O2 O 0.1732 0.0000 0.9806
O3 O 0.2080 0.5000 0.0134
O4 O 0.2108 0.0000 0.6632
O5 O 0.2491 0.5000 0.6942
O6 O 0.4196 0.2509 0.4735
# Formation energy from the elements = -1.86 eV per atom
# VASP energy = -6.840 eV per atom
# Spin magnetization = 15.00 μB per formula unit

# 14
# MgMn4Cu2O8, optimized geometry, DFT PBE+U
data_MgMn4Cu2O8
_cell_length_a 11.7977
_cell_length_b 6.0256
_cell_length_c 6.2250
_cell_angle_alpha 90.00
_cell_angle_beta 121.59
_cell_angle_gamma 90.00
_space_group_name_H-M_alt 'C 1 m 1'
_space_group_IT_number 8
_space_group_name_Hall 'C -2y'
loop_
_atom_site_label
_atom_site_type_symbol
_atom_site_fract_x
_atom_site_fract_y
_atom_site_fract_z
Mg1 Mg 0.0000 0.0000 0.0000
Mn1 Mn 0.2244 0.0000 0.4787
Mn2 Mn 0.2278 0.0000 0.9726
Mn3 Mn 0.4593 0.2485 0.4596
Cu1 Cu 0.1608 0.5000 0.1731
Cu2 Cu 0.2183 0.5000 0.7080
O1 O 0.1727 0.1994 0.1758
O2 O 0.1989 0.2068 0.6961
O3 O 0.4342 0.0000 0.6353
O4 O 0.4366 0.0000 0.2343
O5 O 0.4538 0.5000 0.2520
O6 O 0.4541 0.5000 0.6567
# Formation energy from the elements = -1.73 eV per atom
# VASP energy = -6.656 eV per atom
# Spin magnetization = 16.00 μB per formula unit

# 15
# MgMn4Cu2O8, optimized geometry, DFT PBE+U
data_MgMn4Cu2O8
_cell_length_a 10.9010
_cell_length_b 5.8652
_cell_length_c 6.6490
_cell_angle_alpha 90.00
_cell_angle_beta 127.08
_cell_angle_gamma 90.00
_space_group_name_H-M_alt 'C 1 2/m 1'
_space_group_IT_number 12
_space_group_name_Hall '-C 2y'
loop_
_atom_site_label
_atom_site_type_symbol
_atom_site_fract_x
_atom_site_fract_y
_atom_site_fract_z
Mg1 Mg 0.0000 0.0000 0.0000
Mn1 Mn 0.0000 0.5000 0.0000
Mn2 Mn 0.0000 0.5000 0.5000
Mn3 Mn 0.2233 0.0000 0.9500
Cu1 Cu 0.2500 0.2500 0.5000
O1 O 0.0571 0.2631 0.8429
O2 O 0.2183 0.5000 0.2862
O3 O 0.2492 0.5000 0.7050
# Formation energy from the elements = -1.73 eV per atom
# VASP energy = -6.653 eV per atom
# Spin magnetization = 16.23 μB per formula unit

# 16
# MgMn4Cu2O8, optimized geometry, DFT PBE+U
data_MgMn4Cu2O8
_cell_length_a 5.8195
_cell_length_b 6.2179
_cell_length_c 6.2343
_cell_angle_alpha 61.98
_cell_angle_beta 66.64
_cell_angle_gamma 62.71
_space_group_name_H-M_alt 'P 1'
_space_group_IT_number 1
_space_group_name_Hall 'P 1'
loop_
_atom_site_label
_atom_site_type_symbol
_atom_site_fract_x
_atom_site_fract_y
_atom_site_fract_z
Mg1 Mg 0.0000 0.0000 0.0000
Mn1 Mn 0.4701 0.0353 0.0548
Mn2 Mn 0.4848 0.5274 0.0438
Mn3 Mn 0.5032 0.5602 0.5370
Mn4 Mn 0.8403 0.9422 0.5015
Cu1 Cu 0.2507 0.2355 0.5387
Cu2 Cu 0.9766 0.5261 0.0466
O1 O 0.2204 0.2357 0.8393
O2 O 0.2293 0.7309 0.8314
O3 O 0.2345 0.8208 0.2720
O4 O 0.2701 0.2916 0.2200
O5 O 0.6808 0.7810 0.8761
O6 O 0.6916 0.2508 0.8343
O7 O 0.7127 0.8424 0.2862
O8 O 0.7210 0.3360 0.2768
# Formation energy from the elements = -1.76 eV per atom
# VASP energy = -6.679 eV per atom
# Spin magnetization = 16.00 μB per formula unit

# 17
# MgMn4Cu2O8, optimized geometry, DFT PBE+U
data_MgMn4Cu2O8
_cell_length_a 10.1854
_cell_length_b 6.2322
_cell_length_c 6.9518
_cell_angle_alpha 90.00
_cell_angle_beta 129.72
_cell_angle_gamma 90.00
_space_group_name_H-M_alt 'C 1 2/m 1'
_space_group_IT_number 12
_space_group_name_Hall '-C 2y'
loop_
_atom_site_label
_atom_site_type_symbol
_atom_site_fract_x
_atom_site_fract_y
_atom_site_fract_z
Mg1 Mg 0.0000 0.0000 0.0000
Mn1 Mn 0.1797 0.0000 0.4797
Mn2 Mn 0.2500 0.2500 0.0000
Cu1 Cu 0.0000 0.5000 0.0000
Cu2 Cu 0.0000 0.5000 0.5000
O1 O 0.0023 0.2373 0.2223
O2 O 0.2403 0.5000 0.7428
O3 O 0.2423 0.5000 0.1708
# Formation energy from the elements = -1.70 eV per atom
# VASP energy = -6.620 eV per atom
# Spin magnetization = 16.00 μB per formula unit